Version w
# Na9W13O39

A relaxed structure of Na9W13O39 (PBE+U, the Materials Project database).

Results
mass density = 6.7 g cm⁻³

abc: 11.8515 11.8515 13.1066
angles: 72.47 72.47 27.18
Fractional coordinates of all 61 atoms:
Na1 0.6538 0.6538 0.9608
Na2 0.8835 0.8835 0.6551
Na3 0.0381 0.0381 0.1153
Na4 0.1922 0.1922 0.5785
Na5 0.9619 0.9619 0.8847
Na6 0.1165 0.1165 0.3449
Na7 0.3462 0.3462 0.0392
Na8 0.5000 0.5000 0.5000
Na9 0.8078 0.8078 0.4215
O1 0.5372 0.0416 0.6135
O2 0.2724 0.7732 0.3079
O3 0.4154 0.9270 0.7723
O4 0.8474 0.8474 0.0351
O5 0.1826 0.7002 0.0766
O6 0.9270 0.4154 0.7723
O7 0.7002 0.1826 0.0766
O8 0.4628 0.9584 0.3865
O9 0.6917 0.6917 0.5713
O10 0.2998 0.8174 0.9234
O11 0.5846 0.0730 0.2277
O12 0.8174 0.2998 0.9234
O13 0.1526 0.1526 0.9649
O14 0.9237 0.9237 0.2717
O15 0.8476 0.3473 0.5313
O16 0.0730 0.5846 0.2277
O17 0.9584 0.4628 0.3865
O18 0.6527 0.1524 0.4687
O19 0.0000 0.5000 0.0000
O20 0.7732 0.2724 0.3079
O21 0.5000 0.0000 0.0000
O22 0.8845 0.3828 0.1528
O23 0.3083 0.3083 0.4287
O24 0.3828 0.8845 0.1528
O25 0.2290 0.2290 0.1871
O26 0.6172 0.1155 0.8472
O27 0.1155 0.6172 0.8472
O28 0.7276 0.2268 0.6921
O29 0.0416 0.5372 0.6135
O30 0.0000 0.0000 0.5000
O31 0.0763 0.0763 0.7283
O32 0.3851 0.3851 0.6543
O33 0.5413 0.5413 0.1188
O34 0.3473 0.8476 0.5313
O35 0.1524 0.6527 0.4687
O36 0.6149 0.6149 0.3457
O37 0.2268 0.7276 0.6921
O38 0.4587 0.4587 0.8812
O39 0.7710 0.7710 0.8129
W1 0.4228 0.4228 0.7701
W2 0.7300 0.7300 0.6949
W3 0.3448 0.3448 0.5385
W4 0.1163 0.1163 0.8468
W5 0.5000 0.5000 0.0000
W6 0.0392 0.0392 0.6168
W7 0.9608 0.9608 0.3832
W8 0.8058 0.8058 0.9226
W9 0.5772 0.5772 0.2299
W10 0.8837 0.8837 0.1532
W11 0.6552 0.6552 0.4615
W12 0.2700 0.2700 0.3051
W13 0.1942 0.1942 0.0774

---

Version x
# Na9W13O39

A relaxed structure of Na9W13O39 (PBE+U, the Materials Project database).

Results
mass density = 6.8 g cm⁻³

abc: 5.5442 11.7597 13.0028
angles: 107.55 90.00 103.63
Fractional coordinates of all 61 atoms:
W1 0.8464 0.6934 0.9627
W2 0.5372 0.0761 0.8844
W3 0.0018 0.0009 0.5019
W4 0.6156 0.2296 0.6527
W5 0.3089 0.6170 0.5782
W6 0.3864 0.7703 0.3463
W7 0.2304 0.4616 0.8079
W8 0.7709 0.5400 0.1915
W9 0.4613 0.9220 0.1134
W10 0.9243 0.8489 0.7322
W11 0.6926 0.3841 0.4247
W12 0.0768 0.1525 0.2690
W13 0.1532 0.3076 0.0385
O1 0.8437 0.1956 0.9613
O2 0.3097 0.1152 0.5763
O3 0.1911 0.8840 0.4222
O4 0.8858 0.7677 0.8452
O5 0.1900 0.3831 0.9223
O6 0.6961 0.8841 0.4216
O7 0.2707 0.0378 0.1939
O8 0.5816 0.6552 0.2709
O9 0.5393 0.5768 0.8835
O10 0.7670 0.0383 0.1944
O11 0.1159 0.2320 0.1549
O12 0.4993 0.0000 0.9998
O13 0.0335 0.5756 0.8826
O14 0.9980 0.5031 0.5014
O15 0.4639 0.4213 0.1163
O16 0.3490 0.1951 0.9610
O17 0.4261 0.3468 0.7331
O18 0.0388 0.0742 0.3830
O19 0.6529 0.3078 0.5384
O20 0.5024 0.5017 0.5001
O21 0.2722 0.5421 0.6948
O22 0.2291 0.9635 0.8088
O23 0.7289 0.9616 0.8080
O24 0.3478 0.6898 0.4600
O25 0.6190 0.7289 0.6546
O26 0.9217 0.3469 0.7320
O27 0.6538 0.8076 0.0382
O28 0.8844 0.2695 0.3448
O29 0.9593 0.4216 0.1170
O30 0.3891 0.2687 0.3431
O31 0.7336 0.4634 0.3091
O32 0.5783 0.1557 0.7703
O33 0.4241 0.8485 0.2323
O34 0.1541 0.8069 0.0385
O35 0.8096 0.1162 0.5765
O36 0.0765 0.6546 0.2711
O37 0.9623 0.9243 0.6165
O38 0.8082 0.6155 0.0772
O39 0.1156 0.7308 0.6554
Na1 0.0740 0.1495 0.7666
Na2 0.6142 0.2319 0.1539
Na3 0.6915 0.3886 0.9250
Na4 0.9288 0.8451 0.2276
Na5 0.3801 0.7721 0.8476
Na6 0.2297 0.4616 0.3108
Na7 0.7655 0.5356 0.6894
Na8 0.8412 0.6947 0.4635
Na9 0.5391 0.0776 0.3891

---

Which of them is least stable? Easy: version x.